Entry 1:
A plane-wave DFT calculation with PBE was carried out for a relaxed structure of InI3.

Summary:
The raw total energy comes out at -0.086 hartree per atom. The value obtained for the calculated formation energy is -302 kJ/mol of formula units. The space group is No. 14.

Cell: 10.323 6.651 12.910 Å, 90.00 107.59 90.00°
Atoms (fractional coordinates):
In  0.201  0.000  0.049
In  0.201  0.500  0.549
In  0.799  0.000  0.951
In  0.799  0.500  0.451
I  0.000  0.223  0.116
I  0.000  0.277  0.616
I  0.000  0.723  0.384
I  0.000  0.777  0.884
I  0.329  0.747  0.210
I  0.329  0.753  0.710
I  0.332  0.248  0.451
I  0.332  0.252  0.951
I  0.668  0.748  0.049
I  0.668  0.752  0.549
I  0.671  0.247  0.290
I  0.671  0.253  0.790

***

Entry 2:
A plane-wave DFT calculation with PBE was carried out for a relaxed structure of KInI4.

Summary:
The raw total energy comes out at -0.091 hartree per atom. The value obtained for the calculated formation energy is -619 kJ/mol of formula units. The space group is No. 45. The calculation puts the total magnetization at 0.00 μB/f.u.

Cell: 14.477 14.477 14.477 Å, 120.48 117.05 92.18°
Atoms (fractional coordinates):
K  0.000  0.000  0.000
K  0.377  0.679  0.699
K  0.480  0.179  0.302
K  0.500  0.500  0.000
K  0.877  0.178  0.698
K  0.980  0.678  0.301
In  0.255  0.257  0.498
In  0.259  0.757  0.003
In  0.260  0.260  0.000
In  0.755  0.256  0.997
In  0.759  0.756  0.502
In  0.760  0.760  0.000
I  0.069  0.723  0.997
I  0.079  0.064  0.783
I  0.081  0.298  0.358
I  0.220  0.443  0.998
I  0.220  0.570  0.774
I  0.225  0.223  0.654
I  0.281  0.296  0.217
I  0.296  0.070  0.349
I  0.297  0.938  0.988
I  0.441  0.798  0.217
I  0.445  0.222  0.002
I  0.451  0.438  0.641
I  0.569  0.572  0.346
I  0.579  0.796  0.015
I  0.581  0.223  0.783
I  0.720  0.722  0.777
I  0.720  0.947  0.651
I  0.725  0.072  0.003
I  0.781  0.564  0.985
I  0.796  0.447  0.226
I  0.797  0.810  0.359
I  0.941  0.723  0.642
I  0.945  0.943  0.223
I  0.951  0.310  0.012

***

Entry 3:
A plane-wave DFT calculation with PBE was carried out for a relaxed structure of KInI3.

Summary:
The raw total energy comes out at -0.092 hartree per atom. The value obtained for the calculated formation energy is -509 kJ/mol of formula units. The space group is No. 225. The calculation puts the total magnetization at 0.00 μB/f.u.

Cell: 8.720 8.720 8.720 Å, 60.00 60.00 60.00°
Atoms (fractional coordinates):
K  0.250  0.250  0.250
K  0.750  0.750  0.750
In  0.000  0.000  0.000
In  0.500  0.500  0.500
I  0.241  0.241  0.759
I  0.241  0.759  0.241
I  0.241  0.759  0.759
I  0.759  0.241  0.241
I  0.759  0.241  0.759
I  0.759  0.759  0.241

***

Entry 4:
A plane-wave DFT calculation with PBE was carried out for a relaxed structure of KRb2InI6.

Summary:
The raw total energy comes out at -0.093 hartree per atom. The value obtained for the calculated formation energy is -1223 kJ/mol of formula units. The space group is No. 225. The calculation puts the total magnetization at 0.02 μB/f.u.

Cell: 8.916 8.916 8.916 Å, 60.00 60.00 60.00°
Atoms (fractional coordinates):
K  0.000  0.000  0.000
Rb  0.250  0.250  0.250
Rb  0.750  0.750  0.750
In  0.500  0.500  0.500
I  0.267  0.267  0.733
I  0.267  0.733  0.267
I  0.267  0.733  0.733
I  0.733  0.267  0.267
I  0.733  0.267  0.733
I  0.733  0.733  0.267

***

Entry 5:
A plane-wave DFT calculation with PBE was carried out for a relaxed structure of K2TlInI6.

Summary:
The raw total energy comes out at -0.092 hartree per atom. The value obtained for the calculated formation energy is -1039 kJ/mol of formula units. The space group is No. 225. The calculation puts the total magnetization at 0.00 μB/f.u.

Cell: 8.845 8.845 8.845 Å, 60.00 60.00 60.00°
Atoms (fractional coordinates):
K  0.250  0.250  0.250
K  0.750  0.750  0.750
Tl  0.000  0.000  0.000
In  0.500  0.500  0.500
I  0.264  0.264  0.736
I  0.264  0.736  0.264
I  0.264  0.736  0.736
I  0.736  0.264  0.264
I  0.736  0.264  0.736
I  0.736  0.736  0.264

***

Entry 6:
A plane-wave DFT calculation with PBE was carried out for a relaxed structure of NaInI4.

Summary:
The raw total energy comes out at -0.091 hartree per atom. The value obtained for the calculated formation energy is -600 kJ/mol of formula units. The space group is No. 14.

Cell: 8.743 8.177 16.162 Å, 90.00 93.11 90.00°
Atoms (fractional coordinates):
Na  0.151  0.006  0.376
Na  0.151  0.494  0.876
Na  0.849  0.506  0.124
Na  0.849  0.994  0.624
In  0.296  0.690  0.101
In  0.296  0.810  0.601
In  0.704  0.190  0.399
In  0.704  0.310  0.899
I  0.061  0.662  0.684
I  0.061  0.838  0.184
I  0.189  0.129  0.574
I  0.189  0.371  0.074
I  0.314  0.677  0.446
I  0.314  0.823  0.946
I  0.435  0.204  0.303
I  0.435  0.296  0.803
I  0.565  0.704  0.197
I  0.565  0.796  0.697
I  0.686  0.177  0.054
I  0.686  0.323  0.554
I  0.811  0.629  0.926
I  0.811  0.871  0.426
I  0.939  0.162  0.816
I  0.939  0.338  0.316

***

Entry 7:
A plane-wave DFT calculation with PBE was carried out for a relaxed structure of Rb2NaInI6.

Summary:
The raw total energy comes out at -0.093 hartree per atom. The value obtained for the calculated formation energy is -1197 kJ/mol of formula units. The space group is No. 225. The calculation puts the total magnetization at 0.00 μB/f.u.

Cell: 8.618 8.618 8.618 Å, 60.00 60.00 60.00°
Atoms (fractional coordinates):
Rb  0.250  0.250  0.250
Rb  0.750  0.750  0.750
Na  0.000  0.000  0.000
In  0.500  0.500  0.500
I  0.258  0.258  0.742
I  0.258  0.742  0.258
I  0.258  0.742  0.742
I  0.742  0.258  0.258
I  0.742  0.258  0.742
I  0.742  0.742  0.258

***

Entry 8:
A plane-wave DFT calculation with PBE was carried out for a relaxed structure of InI3O12.

Summary:
The raw total energy comes out at -0.166 hartree per atom. The value obtained for the calculated formation energy is -714 kJ/mol of formula units. The space group is No. 2. The calculation puts the total magnetization at 1.99 μB/f.u.

Cell: 7.207 7.274 10.479 Å, 87.73 73.85 81.65°
Atoms (fractional coordinates):
In  0.000  0.000  0.000
In  0.000  0.000  0.500
I  0.163  0.576  0.307
I  0.339  0.100  0.176
I  0.490  0.737  0.497
I  0.510  0.263  0.503
I  0.661  0.900  0.824
I  0.837  0.424  0.693
O  0.001  0.638  0.162
O  0.027  0.268  0.572
O  0.097  0.114  0.298
O  0.097  0.186  0.830
O  0.151  0.721  0.877
O  0.237  0.594  0.934
O  0.284  0.997  0.033
O  0.303  0.950  0.516
O  0.309  0.342  0.124
O  0.309  0.572  0.531
O  0.353  0.722  0.252
O  0.467  0.266  0.339
O  0.533  0.734  0.661
O  0.647  0.278  0.748
O  0.691  0.428  0.469
O  0.691  0.658  0.876
O  0.697  0.050  0.484
O  0.716  0.003  0.967
O  0.763  0.406  0.066
O  0.849  0.279  0.123
O  0.903  0.814  0.170
O  0.903  0.886  0.702
O  0.973  0.732  0.428
O  0.999  0.362  0.838

***

Entry 9:
A plane-wave DFT calculation with PBE was carried out for a relaxed structure of Rb3InI6O18.

Summary:
The raw total energy comes out at -0.166 hartree per atom. The value obtained for the calculated formation energy is -3350 kJ/mol of formula units. The space group is No. 2. The calculation puts the total magnetization at 0.00 μB/f.u.

Cell: 7.217 7.227 10.949 Å, 87.87 71.75 72.64°
Atoms (fractional coordinates):
Rb  0.000  0.000  0.000
Rb  0.168  0.023  0.601
Rb  0.832  0.977  0.399
In  0.500  0.500  0.000
I  0.026  0.528  0.811
I  0.414  0.447  0.360
I  0.445  0.956  0.190
I  0.555  0.044  0.810
I  0.586  0.553  0.640
I  0.974  0.472  0.189
O  0.043  0.550  0.321
O  0.083  0.208  0.184
O  0.171  0.540  0.050
O  0.290  0.156  0.814
O  0.307  0.843  0.326
O  0.338  0.570  0.618
O  0.408  0.201  0.396
O  0.430  0.813  0.055
O  0.473  0.605  0.817
O  0.527  0.395  0.183
O  0.570  0.187  0.945
O  0.592  0.799  0.604
O  0.662  0.430  0.382
O  0.693  0.157  0.674
O  0.710  0.844  0.186
O  0.829  0.460  0.950
O  0.917  0.792  0.816
O  0.957  0.450  0.679

***

Entry 10:
A plane-wave DFT calculation with PBE was carried out for a relaxed structure of Rb2InI6O18.

Summary:
The raw total energy comes out at -0.164 hartree per atom. The value obtained for the calculated formation energy is -2863 kJ/mol of formula units. The space group is No. 2. The calculation puts the total magnetization at 1.00 μB/f.u.

Cell: 7.891 7.898 7.904 Å, 98.31 97.30 97.39°
Atoms (fractional coordinates):
Rb  0.164  0.161  0.175
Rb  0.836  0.839  0.825
In  0.500  0.500  0.500
I  0.118  0.687  0.332
I  0.303  0.670  0.870
I  0.335  0.130  0.707
I  0.665  0.870  0.293
I  0.697  0.330  0.130
I  0.882  0.313  0.668
O  0.066  0.663  0.096
O  0.101  0.087  0.695
O  0.106  0.613  0.708
O  0.274  0.530  0.325
O  0.276  0.885  0.376
O  0.306  0.902  0.929
O  0.327  0.285  0.552
O  0.396  0.288  0.906
O  0.459  0.690  0.714
O  0.541  0.310  0.286
O  0.604  0.712  0.094
O  0.673  0.715  0.448
O  0.694  0.098  0.071
O  0.724  0.115  0.624
O  0.726  0.470  0.675
O  0.894  0.387  0.292
O  0.899  0.913  0.305
O  0.934  0.337  0.904

***

Entry 11:
A plane-wave DFT calculation with PBE was carried out for a relaxed structure of RbInI3.

Summary:
The raw total energy comes out at -0.093 hartree per atom. The value obtained for the calculated formation energy is -531 kJ/mol of formula units. The space group is No. 225. The calculation puts the total magnetization at 0.00 μB/f.u.

Cell: 8.781 8.781 8.781 Å, 60.00 60.00 60.00°
Atoms (fractional coordinates):
Rb  0.250  0.250  0.250
Rb  0.750  0.750  0.750
In  0.000  0.000  0.000
In  0.500  0.500  0.500
I  0.241  0.241  0.759
I  0.241  0.759  0.241
I  0.241  0.759  0.759
I  0.759  0.241  0.241
I  0.759  0.241  0.759
I  0.759  0.759  0.241

***

Entry 12:
A plane-wave DFT calculation with PBE was carried out for a relaxed structure of Rb3InI6.

Summary:
The raw total energy comes out at -0.092 hartree per atom. The value obtained for the calculated formation energy is -1215 kJ/mol of formula units. The space group is No. 225. The calculation puts the total magnetization at 0.02 μB/f.u.

Cell: 9.063 9.063 9.063 Å, 60.00 60.00 60.00°
Atoms (fractional coordinates):
Rb  0.000  0.000  0.000
Rb  0.250  0.250  0.250
Rb  0.750  0.750  0.750
In  0.500  0.500  0.500
I  0.271  0.271  0.729
I  0.271  0.729  0.271
I  0.271  0.729  0.729
I  0.729  0.271  0.271
I  0.729  0.271  0.729
I  0.729  0.729  0.271